# 1
The following is a DFT calculation (GGA-PBE) of a relaxed structure of LiP5Pb2O15.

## Properties
- energy of formation from the pure elements (meV/atom) = -2539
- crystal system = monoclinic

CIF file:
```
data_LiP5Pb2O15
_chemical_formula_sum 'Li2 P10 Pb4 O30'
_cell_length_a 5.604
_cell_length_b 9.810
_cell_length_c 13.564
_cell_angle_alpha 90.00
_cell_angle_beta 113.12
_cell_angle_gamma 90.00
_symmetry_space_group_name_H-M 'P 1 c 1'
_symmetry_Int_Tables_number 7
loop_
_symmetry_equiv_pos_as_xyz
'x,y,z'
'x,-y,z+1/2'
loop_
_atom_site_label
_atom_site_fract_x
_atom_site_fract_y
_atom_site_fract_z
Li1 0.000 0.015 0.000
P1 0.261 0.192 0.394
P2 0.376 0.459 0.325
P3 0.460 0.459 0.126
P4 0.579 0.191 0.057
P5 0.920 0.003 0.226
Pb1 0.910 0.312 0.564
Pb2 0.921 0.315 0.883
O1 0.091 0.166 0.455
O2 0.159 0.106 0.284
O3 0.196 0.346 0.348
O4 0.199 0.470 0.034
O5 0.219 0.412 0.790
O6 0.290 0.169 0.003
O7 0.418 0.388 0.225
O8 0.548 0.173 0.449
O9 0.618 0.413 0.661
O10 0.638 0.346 0.102
O11 0.638 0.470 0.417
O12 0.677 0.105 0.167
O13 0.750 0.167 0.997
O14 0.854 0.076 0.807
O15 0.988 0.071 0.643
```

=====

# 2
The following is a DFT calculation (GGA-PBE) of a relaxed structure of LiPPbO4.

## Properties
- energy of formation from the pure elements (meV/atom) = -2502
- crystal system = orthorhombic

CIF file:
```
data_LiPPbO4
_chemical_formula_sum 'Li8 P8 Pb8 O32'
_cell_length_a 8.122
_cell_length_b 18.886
_cell_length_c 5.038
_cell_angle_alpha 90.00
_cell_angle_beta 90.00
_cell_angle_gamma 90.00
_symmetry_space_group_name_H-M 'P n a 21'
_symmetry_Int_Tables_number 33
loop_
_symmetry_equiv_pos_as_xyz
'x,y,z'
'-x,-y,z+1/2'
'-x+1/2,y+1/2,z+1/2'
'x+1/2,-y+1/2,z'
loop_
_atom_site_label
_atom_site_fract_x
_atom_site_fract_y
_atom_site_fract_z
Li1 0.011 0.057 0.000
Li2 0.177 0.651 0.499
P1 0.213 0.320 0.993
P2 0.233 0.071 0.496
Pb1 0.033 0.229 0.539
Pb2 0.173 0.446 0.559
O1 0.055 0.352 0.862
O2 0.086 0.032 0.365
O3 0.107 0.528 0.919
O4 0.136 0.865 0.412
O5 0.194 0.318 0.301
O6 0.217 0.073 0.802
O7 0.231 0.243 0.883
O8 0.248 0.148 0.382
```

=====

# 3
The following is a DFT calculation (GGA-PBE) of a relaxed structure of LiSbP4O12.

## Properties
- energy of formation from the pure elements (meV/atom) = -2487
- crystal system = orthorhombic
- E above lowest polymorph (meV per atom) = 33

CIF file:
```
data_LiSbP4O12
_chemical_formula_sum 'Li8 Sb8 P32 O96'
_cell_length_a 10.426
_cell_length_b 11.956
_cell_length_c 17.414
_cell_angle_alpha 90.00
_cell_angle_beta 90.00
_cell_angle_gamma 90.00
_symmetry_space_group_name_H-M 'C 2 2 21'
_symmetry_Int_Tables_number 20
loop_
_symmetry_equiv_pos_as_xyz
'x,y,z'
'-x,-y,z+1/2'
'x,-y,-z'
'-x,y,-z+1/2'
'x+1/2,y+1/2,z'
'-x+1/2,-y+1/2,z+1/2'
'x+1/2,-y+1/2,-z'
'-x+1/2,y+1/2,-z+1/2'
loop_
_atom_site_label
_atom_site_fract_x
_atom_site_fract_y
_atom_site_fract_z
Li1 0.142 0.036 0.356
Sb1 0.224 0.209 0.635
P1 0.000 0.361 0.250
P2 0.049 0.267 0.988
P3 0.110 0.146 0.843
P4 0.152 0.500 0.000
P5 0.197 0.483 0.690
O1 0.016 0.086 0.648
O2 0.050 0.402 0.985
O3 0.064 0.446 0.310
O4 0.088 0.228 0.517
O5 0.097 0.292 0.207
O6 0.127 0.228 0.057
O7 0.128 0.237 0.912
O8 0.148 0.206 0.772
O9 0.163 0.377 0.646
O10 0.219 0.056 0.869
O11 0.228 0.477 0.072
O12 0.245 0.026 0.267
```

=====

# 4
The following is a DFT calculation (GGA-PBE) of a relaxed structure of LiSbP4O12.

## Properties
- energy of formation from the pure elements (meV/atom) = -2520
- crystal system = monoclinic
- E above lowest polymorph (meV per atom) = 0

CIF file:
```
data_LiSbP4O12
_chemical_formula_sum 'Li4 Sb4 P16 O48'
_cell_length_a 16.409
_cell_length_b 7.129
_cell_length_c 9.820
_cell_angle_alpha 90.00
_cell_angle_beta 125.50
_cell_angle_gamma 90.00
_symmetry_space_group_name_H-M 'C 1 2/c 1'
_symmetry_Int_Tables_number 15
loop_
_symmetry_equiv_pos_as_xyz
'x,y,z'
'-x,-y,-z'
'-x,y,-z+1/2'
'x,-y,z+1/2'
'x+1/2,y+1/2,z'
'-x+1/2,-y+1/2,-z'
'-x+1/2,y+1/2,-z+1/2'
'x+1/2,-y+1/2,z+1/2'
loop_
_atom_site_label
_atom_site_fract_x
_atom_site_fract_y
_atom_site_fract_z
Li1 0.000 0.193 0.250
Sb1 0.000 0.326 0.750
P1 0.139 0.057 0.620
P2 0.144 0.351 0.190
O1 0.068 0.413 0.222
O2 0.069 0.019 0.436
O3 0.121 0.218 0.697
O4 0.124 0.394 0.023
O5 0.153 0.129 0.226
O6 0.250 0.075 0.658
```

=====

# 5
The following is a DFT calculation (GGA-PBE) of a relaxed structure of Li3Sb3P4O16.

## Properties
- energy of formation from the pure elements (meV/atom) = -2420
- crystal system = monoclinic
- E above lowest polymorph (meV per atom) = 11

CIF file:
```
data_Li3Sb3P4O16
_chemical_formula_sum 'Li6 Sb6 P8 O32'
_cell_length_a 7.867
_cell_length_b 9.086
_cell_length_c 10.517
_cell_angle_alpha 90.00
_cell_angle_beta 92.61
_cell_angle_gamma 90.00
_symmetry_space_group_name_H-M 'P 1 21 1'
_symmetry_Int_Tables_number 4
loop_
_symmetry_equiv_pos_as_xyz
'x,y,z'
'-x,y+1/2,-z'
loop_
_atom_site_label
_atom_site_fract_x
_atom_site_fract_y
_atom_site_fract_z
Li1 0.123 0.000 0.085
Li2 0.149 0.005 0.594
Li3 0.350 0.246 0.656
Sb1 0.232 0.658 0.130
Sb2 0.235 0.620 0.614
Sb3 0.374 0.259 0.168
P1 0.042 0.814 0.361
P2 0.047 0.833 0.862
P3 0.464 0.427 0.405
P4 0.466 0.419 0.889
O1 0.000 0.481 0.078
O2 0.006 0.970 0.415
O3 0.107 0.836 0.219
O4 0.108 0.845 0.727
O5 0.110 0.210 0.644
O6 0.113 0.221 0.137
O7 0.188 0.759 0.953
O8 0.196 0.746 0.440
O9 0.324 0.444 0.290
O10 0.336 0.480 0.791
O11 0.370 0.438 0.532
O12 0.371 0.013 0.091
O13 0.375 0.413 0.021
O14 0.397 0.042 0.604
O15 0.476 0.764 0.612
O16 0.483 0.758 0.151
```

=====

# 6
The following is a DFT calculation (GGA-PBE) of a relaxed structure of Li3Sb3P4O16.

## Properties
- energy of formation from the pure elements (meV/atom) = -2432
- crystal system = triclinic
- E above lowest polymorph (meV per atom) = 0

CIF file:
```
data_Li3Sb3P4O16
_chemical_formula_sum 'Li9 Sb9 P12 O48'
_cell_length_a 9.203
_cell_length_b 9.258
_cell_length_c 13.116
_cell_angle_alpha 94.41
_cell_angle_beta 90.67
_cell_angle_gamma 90.73
_symmetry_space_group_name_H-M 'P 1'
_symmetry_Int_Tables_number 1
loop_
_symmetry_equiv_pos_as_xyz
'x,y,z'
loop_
_atom_site_label
_atom_site_fract_x
_atom_site_fract_y
_atom_site_fract_z
Li1 0.000 0.000 0.000
Li2 0.001 0.654 0.666
Li3 0.004 0.354 0.340
Li4 0.230 0.822 0.040
Li5 0.238 0.480 0.702
Li6 0.498 0.296 0.038
Li7 0.504 0.648 0.371
Li8 0.732 0.178 0.674
Li9 0.739 0.818 0.332
Sb1 0.078 0.074 0.664
Sb2 0.111 0.720 0.351
Sb3 0.151 0.408 0.037
Sb4 0.260 0.111 0.384
Sb5 0.468 0.961 0.723
Sb6 0.610 0.916 0.017
Sb7 0.635 0.563 0.689
Sb8 0.655 0.245 0.334
Sb9 0.762 0.513 0.978
P1 0.297 0.107 0.917
P2 0.308 0.415 0.254
P3 0.335 0.733 0.570
P4 0.413 0.580 0.917
P5 0.416 0.895 0.235
P6 0.432 0.261 0.587
P7 0.807 0.544 0.459
P8 0.809 0.225 0.122
P9 0.830 0.896 0.788
P10 0.905 0.742 0.130
P11 0.910 0.071 0.457
P12 0.939 0.370 0.787
O1 0.015 0.180 0.412
O2 0.020 0.825 0.077
O3 0.034 0.474 0.734
O4 0.192 0.537 0.252
O5 0.204 0.001 0.969
O6 0.216 0.654 0.623
O7 0.224 0.296 0.314
O8 0.243 0.269 0.932
O9 0.256 0.844 0.252
O10 0.264 0.584 0.981
O11 0.279 0.287 0.623
O12 0.288 0.072 0.796
O13 0.324 0.905 0.599
O14 0.327 0.353 0.140
O15 0.331 0.706 0.453
O16 0.386 0.532 0.805
O17 0.417 0.063 0.273
O18 0.435 0.201 0.470
O19 0.436 0.886 0.117
O20 0.453 0.457 0.304
O21 0.459 0.110 0.950
O22 0.479 0.736 0.930
O23 0.495 0.707 0.611
O24 0.514 0.474 0.971
O25 0.516 0.145 0.649
O26 0.532 0.817 0.290
O27 0.533 0.394 0.592
O28 0.699 0.097 0.131
O29 0.708 0.644 0.406
O30 0.720 0.336 0.059
O31 0.720 0.993 0.736
O32 0.743 0.779 0.103
O33 0.757 0.379 0.440
O34 0.760 0.070 0.397
O35 0.777 0.367 0.753
O36 0.787 0.733 0.771
O37 0.806 0.578 0.579
O38 0.829 0.296 0.236
O39 0.851 0.943 0.901
O40 0.885 0.122 0.573
O41 0.911 0.574 0.096
O42 0.922 0.759 0.249
O43 0.945 0.407 0.907
O44 0.955 0.189 0.076
O45 0.966 0.545 0.421
O46 0.971 0.917 0.451
O47 0.981 0.904 0.727
O48 0.993 0.209 0.774
```